Compound: NdSi2Os2
Source: the Materials Project database
Functional: PBE
Structure: relaxed

Calculated values
Crystal system: tetragonal
VASP energy, eV per atom: -8.311
Formation enthalpy at 0 K, eV per formula unit: -3.48

Cell lengths 5.7753, 5.7753, 5.7753 Å; angles 137.19, 137.19, 62.15 degrees
Fractional coordinates of all 5 atoms:
Nd (0.0000, 0.0000, 0.0000)
Si (0.3677, 0.3677, 0.0000)
Si (0.6323, 0.6323, 0.0000)
Os (0.2500, 0.7500, 0.5000)
Os (0.7500, 0.2500, 0.5000)